[1]
Crystalline Mn3O4F2 at its relaxed geometry, computed with PBE with a Hubbard U.

- volume (Å³/atom) = 11.093
- space-group type = Cm, No. 8
- energy of formation from the pure elements (eV per atom) = -2.14
- magnetization (μB/f.u.) = 11.0
- energy above the lowest structure with this stoichiometry (meV per atom) = 12

POSCAR file:
```
Mn3O4F2
1.0
2.543 -6.991 1.966
1.056 -3.095 -4.500
5.475 -0.465 -0.864
Mn F O
6 4 8
Direct
0.496 0.998 0.998
0.317 0.661 0.661
0.000 0.993 0.993
0.179 0.341 0.341
0.658 0.338 0.338
0.848 0.674 0.674
0.695 0.112 0.112
0.961 0.224 0.224
0.308 0.881 0.881
0.615 0.567 0.567
0.047 0.768 0.768
0.671 0.034 0.639
0.671 0.639 0.034
0.333 0.363 0.971
0.002 0.305 0.692
0.002 0.692 0.305
0.333 0.971 0.363
0.367 0.439 0.439
```

=====

[2]
Crystalline Mn3O4F2 at its relaxed geometry, computed with PBE with a Hubbard U.

- volume (Å³/atom) = 10.901
- space-group type = P-1, No. 2
- energy of formation from the pure elements (eV per atom) = -2.14
- magnetization (μB/f.u.) = 11.0
- energy above the lowest structure with this stoichiometry (meV per atom) = 10

POSCAR file:
```
Mn3O4F2
1.0
-3.938 2.678 -2.788
-2.965 -3.777 -2.832
-6.198 -0.948 3.560
F Mn O
4 6 8
Direct
0.244 0.242 0.466
0.027 0.606 0.182
0.973 0.394 0.818
0.756 0.758 0.534
0.000 0.000 0.000
0.355 0.347 0.672
0.644 0.698 0.842
0.356 0.302 0.158
0.000 0.000 0.500
0.645 0.653 0.328
0.355 0.994 0.826
0.694 0.308 0.499
0.107 0.097 0.205
0.558 0.556 0.129
0.893 0.903 0.795
0.306 0.692 0.501
0.645 0.006 0.174
0.442 0.444 0.871
```

=====

[3]
Crystalline Mn3O4F2 at its relaxed geometry, computed with PBE with a Hubbard U.

- volume (Å³/atom) = 10.928
- space-group type = Pmn2_1, No. 31
- energy of formation from the pure elements (eV per atom) = -2.12
- magnetization (μB/f.u.) = 11.0
- energy above the lowest structure with this stoichiometry (meV per atom) = 24

POSCAR file:
```
Mn3O4F2
1.0
4.628 0.000 0.000
0.000 4.592 0.000
0.000 0.001 9.255
F O Mn
4 8 6
Direct
0.796 0.201 0.837
0.705 0.701 0.996
0.795 0.201 0.496
0.704 0.701 0.337
0.189 0.809 0.839
0.677 0.692 0.667
0.215 0.801 0.167
0.189 0.809 0.494
0.311 0.309 0.339
0.823 0.192 0.167
0.285 0.301 0.667
0.311 0.309 0.994
0.497 0.476 0.167
0.029 0.005 0.007
0.471 0.505 0.827
0.029 0.005 0.327
0.471 0.505 0.507
0.003 0.976 0.667
```

=====

[4]
Crystalline Mn12O5F19 at its relaxed geometry, computed with PBE with a Hubbard U.

- volume (Å³/atom) = 12.186
- space-group type = P1, No. 1
- energy of formation from the pure elements (eV per atom) = -2.63
- magnetization (μB/f.u.) = 55.0
- energy above the lowest structure with this stoichiometry (meV per atom) = 36

POSCAR file:
```
Mn12O5F19
1.0
-4.886 -0.121 -1.979
-0.263 -5.295 -1.179
-6.360 -4.426 13.539
F Mn O
19 12 5
Direct
0.129 0.711 0.921
0.241 0.686 0.739
0.725 0.710 0.263
0.294 0.177 0.757
0.698 0.654 0.578
0.782 0.358 0.739
0.303 0.395 0.236
0.358 0.739 0.065
0.723 0.130 0.595
0.200 0.776 0.567
0.740 0.318 0.083
0.260 0.136 0.405
0.768 0.882 0.430
0.218 0.918 0.227
0.823 0.178 0.909
0.689 0.383 0.437
0.248 0.268 0.085
0.839 0.827 0.099
0.772 0.872 0.759
0.070 0.013 0.006
0.534 0.002 0.851
0.011 0.936 0.332
0.037 0.031 0.673
0.475 0.017 0.517
0.007 0.520 0.496
0.458 0.444 0.656
0.443 0.471 0.986
0.954 0.477 0.172
0.560 0.050 0.177
0.964 0.512 0.835
0.498 0.430 0.333
0.773 0.209 0.273
0.632 0.667 0.906
0.329 0.203 0.927
0.231 0.257 0.580
0.213 0.640 0.384
```

=====

[5]
Crystalline Mn3O4F2 at its relaxed geometry, computed with PBE with a Hubbard U.

- volume (Å³/atom) = 10.943
- space-group type = P-1, No. 2
- energy of formation from the pure elements (eV per atom) = -2.11
- magnetization (μB/f.u.) = 11.0
- energy above the lowest structure with this stoichiometry (meV per atom) = 33

POSCAR file:
```
Mn3O4F2
1.0
-2.103 2.247 -3.475
0.404 -4.484 -3.277
-6.753 -2.797 2.210
Mn O F
6 8 4
Direct
0.005 0.328 0.683
0.000 0.000 0.000
0.500 0.500 0.000
0.463 0.157 0.341
0.537 0.843 0.659
0.995 0.672 0.317
0.694 0.873 0.429
0.305 0.462 0.235
0.695 0.538 0.765
0.190 0.296 0.905
0.810 0.704 0.095
0.189 0.956 0.226
0.811 0.044 0.774
0.306 0.127 0.571
0.688 0.192 0.119
0.190 0.631 0.561
0.810 0.369 0.439
0.312 0.808 0.881
```

=====

[6]
Crystalline Mn3O5F at its relaxed geometry, computed with PBE with a Hubbard U.

- volume (Å³/atom) = 10.371
- space-group type = P1, No. 1
- energy of formation from the pure elements (eV per atom) = -1.94
- magnetization (μB/f.u.) = 10.0
- energy above the lowest structure with this stoichiometry (meV per atom) = 9

POSCAR file:
```
Mn3O5F
1.0
-3.545 -1.272 3.933
-3.492 -3.655 -2.034
1.882 -6.348 2.559
O Mn F
10 6 2
Direct
0.772 0.769 0.038
0.028 0.646 0.665
0.892 0.894 0.298
0.965 0.359 0.337
0.313 0.686 0.000
0.640 0.036 0.664
0.233 0.229 0.963
0.434 0.432 0.372
0.353 0.972 0.336
0.571 0.568 0.628
0.658 0.668 0.332
0.340 0.349 0.667
0.317 0.332 0.175
0.992 0.995 0.489
0.669 0.684 0.829
0.019 0.978 0.009
0.703 0.298 0.999
0.102 0.105 0.699
```

=====

[7]
Crystalline Mn6O7F5 at its relaxed geometry, computed with PBE with a Hubbard U.

- volume (Å³/atom) = 10.937
- space-group type = P1, No. 1
- energy of formation from the pure elements (eV per atom) = -2.21
- magnetization (μB/f.u.) = 23.0
- energy above the lowest structure with this stoichiometry (meV per atom) = 36

POSCAR file:
```
Mn6O7F5
1.0
-2.145 4.027 0.024
-3.693 -1.920 3.812
9.063 4.865 11.313
F Mn O
10 12 14
Direct
0.771 0.127 0.859
0.755 0.119 0.512
0.764 0.618 0.868
0.255 0.381 0.153
0.778 0.879 0.014
0.749 0.874 0.691
0.255 0.380 0.485
0.748 0.128 0.191
0.237 0.611 0.645
0.774 0.876 0.347
0.495 0.638 0.755
0.997 0.155 0.080
0.994 0.848 0.575
0.503 0.648 0.086
0.051 0.854 0.914
0.488 0.354 0.925
0.015 0.152 0.406
0.024 0.166 0.746
0.497 0.652 0.420
0.502 0.367 0.260
0.506 0.347 0.590
0.023 0.836 0.243
0.238 0.890 0.805
0.216 0.111 0.636
0.724 0.383 0.697
0.237 0.116 0.972
0.288 0.397 0.817
0.721 0.378 0.030
0.278 0.603 0.313
0.238 0.113 0.300
0.713 0.619 0.530
0.214 0.885 0.134
0.725 0.383 0.362
0.219 0.889 0.466
0.285 0.611 0.978
0.725 0.612 0.195
```

=====

[8]
Crystalline Mn3O5F at its relaxed geometry, computed with PBE with a Hubbard U.

- volume (Å³/atom) = 10.333
- space-group type = P-1, No. 2
- energy of formation from the pure elements (eV per atom) = -1.95
- magnetization (μB/f.u.) = 10.0
- energy above the lowest structure with this stoichiometry (meV per atom) = 0

POSCAR file:
```
Mn3O5F
1.0
-1.646 -5.173 0.149
-0.532 -1.564 -5.212
5.568 -3.962 -1.473
O Mn F
10 6 2
Direct
0.306 0.691 0.002
0.568 0.561 0.629
0.766 0.767 0.038
0.234 0.233 0.962
0.694 0.309 0.998
0.642 0.018 0.670
0.432 0.439 0.371
0.106 0.099 0.704
0.894 0.901 0.296
0.358 0.982 0.330
0.357 0.307 0.668
0.000 0.000 0.500
0.000 0.000 0.000
0.643 0.693 0.332
0.652 0.667 0.840
0.348 0.333 0.160
0.967 0.387 0.322
0.033 0.613 0.678
```

=====

[9]
Crystalline Mn6OF11 at its relaxed geometry, computed with PBE with a Hubbard U.

- volume (Å³/atom) = 13.151
- space-group type = P1, No. 1
- energy of formation from the pure elements (eV per atom) = -2.83
- magnetization (μB/f.u.) = 29.0
- energy above the lowest structure with this stoichiometry (meV per atom) = 15

POSCAR file:
```
Mn6OF11
1.0
4.966 0.000 0.000
-0.134 5.879 0.000
-0.001 -0.148 16.216
Mn F O
12 22 2
Direct
0.531 0.670 0.247
0.983 0.819 0.089
0.987 0.144 0.250
0.504 0.331 0.415
0.495 0.671 0.918
0.506 0.329 0.750
0.986 0.830 0.407
0.502 0.353 0.089
0.492 0.673 0.581
0.997 0.167 0.581
0.002 0.831 0.750
0.004 0.171 0.922
0.766 0.896 0.641
0.774 0.118 0.138
0.730 0.397 0.639
0.268 0.394 0.860
0.778 0.891 0.976
0.774 0.106 0.809
0.218 0.887 0.520
0.730 0.606 0.809
0.265 0.386 0.203
0.271 0.393 0.524
0.304 0.626 0.353
0.239 0.113 0.034
0.219 0.116 0.359
0.232 0.103 0.690
0.765 0.102 0.472
0.256 0.603 0.027
0.271 0.604 0.693
0.735 0.606 0.473
0.744 0.382 0.307
0.721 0.394 0.976
0.233 0.894 0.193
0.232 0.898 0.861
0.704 0.613 0.145
0.782 0.884 0.298
```

=====

[10]
Crystalline Mn3O4F2 at its relaxed geometry, computed with PBE with a Hubbard U.

- volume (Å³/atom) = 11.115
- space-group type = Cmm2, No. 35
- energy of formation from the pure elements (eV per atom) = -2.10
- magnetization (μB/f.u.) = 11.0
- energy above the lowest structure with this stoichiometry (meV per atom) = 43

POSCAR file:
```
Mn3O4F2
1.0
0.104 4.708 0.001
-0.001 0.001 9.031
4.708 0.104 -0.001
O F Mn
8 4 6
Direct
0.199 0.497 0.801
0.314 0.999 0.314
0.801 0.497 0.199
0.197 0.170 0.803
0.316 0.666 0.316
0.803 0.170 0.197
0.686 0.999 0.686
0.684 0.666 0.684
0.180 0.832 0.820
0.820 0.832 0.180
0.320 0.335 0.320
0.680 0.335 0.680
0.500 0.517 0.500
0.500 0.832 0.500
0.000 0.015 0.000
0.000 0.651 0.000
0.500 0.151 0.500
0.000 0.335 0.000
```

=====

[11]
Crystalline Mn6OF11 at its relaxed geometry, computed with PBE with a Hubbard U.

- volume (Å³/atom) = 11.954
- space-group type = Cmm2, No. 35
- energy of formation from the pure elements (eV per atom) = -2.77
- magnetization (μB/f.u.) = 29.0
- energy above the lowest structure with this stoichiometry (meV per atom) = 82

POSCAR file:
```
Mn6OF11
1.0
-1.985 -4.335 -2.160
4.517 -0.642 -2.565
5.584 -8.520 11.964
Mn F O
12 22 2
Direct
0.000 0.500 0.500
0.000 0.500 0.835
0.500 0.000 0.500
0.500 0.500 0.322
0.000 0.000 0.003
0.500 0.000 0.835
0.000 0.500 0.174
0.500 0.500 0.002
0.000 0.000 0.668
0.500 0.000 0.174
0.000 0.000 0.338
0.500 0.500 0.666
0.762 0.238 0.752
0.263 0.737 0.919
0.800 0.800 0.244
0.737 0.263 0.584
0.231 0.769 0.088
0.765 0.235 0.419
0.769 0.231 0.088
0.737 0.263 0.919
0.267 0.267 0.084
0.236 0.236 0.579
0.262 0.262 0.748
0.238 0.762 0.752
0.764 0.764 0.579
0.733 0.733 0.084
0.200 0.200 0.244
0.728 0.728 0.411
0.235 0.765 0.419
0.272 0.272 0.411
0.236 0.236 0.916
0.263 0.737 0.584
0.764 0.764 0.916
0.738 0.738 0.748
0.695 0.305 0.247
0.305 0.695 0.247
```

=====

[12]
Crystalline Mn6OF11 at its relaxed geometry, computed with PBE with a Hubbard U.

- volume (Å³/atom) = 12.160
- space-group type = Cm, No. 8
- energy of formation from the pure elements (eV per atom) = -2.79
- magnetization (μB/f.u.) = 29.0
- energy above the lowest structure with this stoichiometry (meV per atom) = 58

POSCAR file:
```
Mn6OF11
1.0
-0.107 -5.272 0.496
1.838 0.305 4.957
-14.368 0.041 6.214
F Mn O
22 12 2
Direct
0.284 0.284 0.247
0.328 0.721 0.087
0.763 0.181 0.922
0.688 0.688 0.901
0.686 0.686 0.572
0.233 0.233 0.413
0.780 0.224 0.251
0.712 0.322 0.758
0.751 0.182 0.592
0.181 0.763 0.922
0.182 0.751 0.592
0.211 0.211 0.753
0.721 0.328 0.087
0.720 0.720 0.239
0.838 0.838 0.075
0.729 0.272 0.424
0.322 0.712 0.758
0.215 0.215 0.089
0.770 0.770 0.410
0.224 0.780 0.251
0.835 0.835 0.743
0.272 0.729 0.424
0.995 0.486 0.502
0.475 0.475 0.992
0.012 0.519 0.166
0.047 0.047 0.994
0.467 0.467 0.661
0.005 0.503 0.834
0.013 0.013 0.336
0.486 0.995 0.502
0.519 0.012 0.166
0.500 0.500 0.334
0.038 0.038 0.661
0.503 0.005 0.834
0.253 0.253 0.920
0.242 0.242 0.585
```